Computed, not measured: a relaxed structure of CaCr2F10 at the GGA+U level of DFT.

Cell and atoms, written as extended XYZ:
```
13
Lattice="3.2573 4.5116 0.0000 -3.2573 4.5116 0.0000 0.0000 3.2363 6.8569" Properties=species:S:1:pos:R:3 pbc="T T T"
F 1.4547 5.5335 1.8624
F 2.7877 4.5116 0.0000
F -1.4509 7.1678 5.4321
F 0.1252 2.4505 0.9233
F 0.1252 9.8090 5.9336
F -1.4509 5.0917 1.4249
F 1.4547 6.7259 4.9945
F -0.1035 8.2139 2.5058
F -0.1035 4.0456 4.3511
F -2.8300 6.1297 3.4285
Cr 0.0048 9.8028 1.7579
Cr 0.0048 2.4567 5.0990
Ca 0.2547 4.5116 0.0000
```

Summary:
formation energy from the elements: -3784 kJ/mol of formula units
VASP energy: -5.466 eV per atom
V: 15.5 A^3/atom